Record 1
A geometry-optimized V7C2N2O16 structure, computed with GGA+U.

Output
Calculated formation energy ... -1.824 eV/atom
Crystal system ... triclinic

abc: 6.1978 6.2008 20.5852
angles: 92.14 96.15 90.02
Fractional coordinates of all 54 atoms:
V 0.0042 0.4110 0.1709
V 0.0312 0.9201 0.2494
V 0.2150 0.4993 0.6768
V 0.3290 0.3604 0.3236
V 0.4240 0.8173 0.8241
V 0.4363 0.6391 0.1756
V 0.4419 0.0690 0.6724
V 0.5581 0.9310 0.3276
V 0.5637 0.3609 0.8244
V 0.5760 0.1827 0.1759
V 0.6710 0.6396 0.6764
V 0.7850 0.5007 0.3232
V 0.9688 0.0799 0.7506
V 0.9958 0.5890 0.8291
C 0.0654 0.0728 0.9871
C 0.0724 0.9305 0.4874
C 0.9276 0.0695 0.5126
C 0.9346 0.9272 0.0129
N 0.1760 0.1961 0.9646
N 0.1949 0.8127 0.4655
N 0.8051 0.1873 0.5345
N 0.8240 0.8039 0.0354
O 0.0235 0.6062 0.9076
O 0.0465 0.4276 0.2924
O 0.1064 0.8811 0.8043
O 0.1325 0.7100 0.1954
O 0.1546 0.1910 0.6966
O 0.1666 0.4960 0.5991
O 0.2540 0.0477 0.3031
O 0.3001 0.5168 0.8067
O 0.3247 0.3441 0.1931
O 0.3347 0.3716 0.4012
O 0.3795 0.7590 0.6945
O 0.4101 0.0588 0.5938
O 0.4122 0.6514 0.0980
O 0.4579 0.8503 0.9018
O 0.4812 0.6155 0.3058
O 0.4827 0.0850 0.7931
O 0.5173 0.9150 0.2069
O 0.5188 0.3845 0.6942
O 0.5421 0.1497 0.0982
O 0.5878 0.3486 0.9020
O 0.5899 0.9412 0.4062
O 0.6205 0.2410 0.3055
O 0.6653 0.6284 0.5988
O 0.6753 0.6559 0.8069
O 0.6999 0.4832 0.1933
O 0.7460 0.9523 0.6969
O 0.8334 0.5040 0.4009
O 0.8454 0.8090 0.3034
O 0.8675 0.2900 0.8046
O 0.8936 0.1189 0.1957
O 0.9535 0.5724 0.7076
O 0.9765 0.3938 0.0924

Record 2
A geometry-optimized Na5Ni2P2C2O14 structure, computed with GGA+U.

Output
Calculated formation energy ... -2.159 eV/atom
Crystal system ... triclinic
ΔE to the lowest computed polymorph ... 2 meV per atom

abc: 5.2255 11.0724 11.1113
angles: 73.22 88.93 88.92
Fractional coordinates of all 50 atoms:
Na 0.2280 0.0872 0.3338
Na 0.2447 0.6178 0.1318
Na 0.2493 0.8784 0.8777
Na 0.2503 0.3893 0.3745
Na 0.2555 0.1304 0.6353
Na 0.7445 0.8696 0.3647
Na 0.7497 0.6107 0.6255
Na 0.7507 0.1216 0.1223
Na 0.7553 0.3822 0.8682
Na 0.7720 0.9128 0.6662
Ni 0.2196 0.6996 0.4521
Ni 0.2219 0.2021 0.9481
Ni 0.7781 0.7979 0.0519
Ni 0.7804 0.3004 0.5479
P 0.2830 0.4141 0.6662
P 0.2828 0.9164 0.1637
P 0.7172 0.0836 0.8363
P 0.7170 0.5859 0.3338
C 0.2847 0.8436 0.5923
C 0.2875 0.3389 0.0891
C 0.7125 0.6611 0.9109
C 0.7153 0.1564 0.4077
O 0.0591 0.8168 0.5604
O 0.0601 0.3087 0.0600
O 0.1420 0.8405 0.0897
O 0.1466 0.3378 0.5898
O 0.2040 0.3643 0.8081
O 0.2060 0.5547 0.6209
O 0.2147 0.0602 0.1178
O 0.2153 0.8756 0.3059
O 0.3114 0.9164 0.6637
O 0.3160 0.4047 0.1632
O 0.4201 0.1000 0.8533
O 0.4210 0.6028 0.3463
O 0.4771 0.2921 0.0377
O 0.4832 0.7967 0.5479
O 0.5168 0.2033 0.4521
O 0.5229 0.7079 0.9623
O 0.5790 0.3972 0.6537
O 0.5799 0.9000 0.1467
O 0.6841 0.5953 0.8368
O 0.6886 0.0836 0.3363
O 0.7847 0.1244 0.6941
O 0.7853 0.9398 0.8822
O 0.7940 0.4453 0.3791
O 0.7960 0.6357 0.1919
O 0.8534 0.6622 0.4102
O 0.8580 0.1595 0.9103
O 0.9399 0.6913 0.9400
O 0.9409 0.1832 0.4396

Record 3
A geometry-optimized Na5Ni2P2C2O14 structure, computed with GGA+U.

Output
Calculated formation energy ... -2.159 eV/atom
Crystal system ... monoclinic
ΔE to the lowest computed polymorph ... 3 meV per atom

abc: 5.1880 6.6684 8.8280
angles: 90.00 91.63 90.00
Fractional coordinates of all 25 atoms:
Na 0.0000 0.0000 0.0000
Na 0.4771 0.2408 0.8125
Na 0.4771 0.7592 0.8125
Na 0.9688 0.2630 0.3461
Na 0.9688 0.7370 0.3461
Ni 0.0011 0.5000 0.7346
Ni 0.4453 0.0000 0.4261
P 0.5013 0.5000 0.4994
P 0.9405 0.0000 0.6630
C 0.5114 0.0000 0.1436
C 0.9351 0.5000 0.0119
O 0.0123 0.1850 0.7631
O 0.0123 0.8150 0.7631
O 0.0804 0.0000 0.5113
O 0.1610 0.5000 0.9524
O 0.2859 0.0000 0.2031
O 0.3579 0.5000 0.6517
O 0.4345 0.3123 0.4044
O 0.4345 0.6877 0.4044
O 0.5366 0.0000 0.9988
O 0.6436 0.0000 0.6291
O 0.7118 0.0000 0.2360
O 0.7424 0.5000 0.9137
O 0.7988 0.5000 0.5393
O 0.9059 0.5000 0.1534